Entry 1:
VASP calculation (GGA-PBE) on crystalline CaCuN at its relaxed geometry.

Unit cell a=8.9100 b=3.8372 c=6.7547 alpha=90.00 beta=110.05 gamma=77.57
Atoms (fractional coordinates):
Ca 0.5142 0.7429 0.8134
Ca 0.4858 0.2571 0.1866
Ca 0.1074 0.4463 0.8372
Ca 0.8926 0.5537 0.1628
Cu 0.7290 0.6355 0.4890
Cu 0.2710 0.3645 0.5110
Cu 0.1881 0.9059 0.2247
Cu 0.8119 0.0941 0.7753
N 0.8052 0.5974 0.7867
N 0.1948 0.4026 0.2133
N 0.3588 0.3206 0.8014
N 0.6412 0.6794 0.1986

Computed properties:
V ... 17.6 Å³ per atom
Calculated formation energy ... -154.3 kJ/mol of formula units
Total moment ... 0.00 μB/f.u.
DFT total energy ... -5.23 eV per atom

Entry 2:
VASP calculation (GGA-PBE) on crystalline CaCuN at its relaxed geometry.

Unit cell a=4.1668 b=4.1669 c=3.6826 alpha=90.00 beta=90.00 gamma=120.00
Atoms (fractional coordinates):
Ca 0.0000 0.0000 0.5000
Cu 0.6667 0.3334 0.0000
N 0.6667 0.3334 0.5000

Computed properties:
V ... 18.5 Å³ per atom
Calculated formation energy ... -138.7 kJ/mol of formula units
Total moment ... 0.00 μB/f.u.
DFT total energy ... -5.17 eV per atom

Entry 3:
VASP calculation (GGA-PBE) on crystalline Ca2CuN2 at its relaxed geometry.

Unit cell a=5.9714 b=5.9714 c=6.8457 alpha=62.29 beta=62.29 gamma=49.27
Atoms (fractional coordinates):
Ca 0.3240 0.3240 0.5806
Ca 0.6760 0.6760 0.4194
Ca 0.9598 0.9598 0.7623
Ca 0.0402 0.0402 0.2377
Cu 0.6363 0.6363 0.8839
Cu 0.3637 0.3637 0.1161
N 0.8168 0.8168 0.5993
N 0.1832 0.1832 0.4007
N 0.5241 0.5241 0.2017
N 0.4759 0.4759 0.7983

Computed properties:
V ... 15.9 Å³ per atom
Calculated formation energy ... -294.0 kJ/mol of formula units
Total moment ... 0.00 μB/f.u.
DFT total energy ... -5.42 eV per atom

Entry 4:
VASP calculation (GGA-PBE) on crystalline Ca5CuN4 at its relaxed geometry.

Unit cell a=8.3414 b=7.3342 c=6.2181 alpha=90.00 beta=90.00 gamma=90.00
Atoms (fractional coordinates):
Ca 0.5389 0.5192 0.2601
Ca 0.9611 0.5192 0.2601
Ca 0.5389 0.9808 0.2601
Ca 0.9611 0.9808 0.2601
Ca 0.4611 0.4808 0.7399
Ca 0.0389 0.4808 0.7399
Ca 0.4611 0.0192 0.7399
Ca 0.0389 0.0192 0.7399
Ca 0.7500 0.7500 0.7552
Ca 0.2500 0.2500 0.2448
Cu 0.7500 0.2500 0.9832
Cu 0.2500 0.7500 0.0168
N 0.7500 0.0024 0.9817
N 0.7500 0.4976 0.9817
N 0.2500 0.9976 0.0183
N 0.2500 0.5024 0.0183
N 0.5292 0.7500 0.5285
N 0.9708 0.7500 0.5285
N 0.4708 0.2500 0.4715
N 0.0292 0.2500 0.4715

Computed properties:
V ... 19.0 Å³ per atom
Calculated formation energy ... -611.9 kJ/mol of formula units
Total moment ... 1.00 μB/f.u.
DFT total energy ... -5.24 eV per atom